No. 1
The following is a DFT calculation (PBE with a Hubbard U) of a relaxed structure of LiV4OF11.

## Properties
The energy relative to the elements is -3.098 eV/atom.

a = 5.1927 Å, b = 5.5382 Å, c = 17.1893 Å
α = 83.27°, β = 81.32°, γ = 62.05°
Last column: nearest neighbours and their distance in Å.
Fractional coordinates of all 34 atoms:
1 Li 0.0000 0.0000 0.0000  1 O 1.92, 3 F 2.01-2.10
2 Li 0.3981 0.7448 0.4603  1 O 1.92, 3 F 2.01-2.10
3 V 0.0154 0.1847 0.7922  6 F 1.97-2.01
4 V 0.1496 0.3337 0.4108  1 O 1.83, 2 F 1.92-2.02
5 V 0.2914 0.4101 0.0494  1 O 1.83, 2 F 1.92-2.02
6 V 0.3906 0.5586 0.6682  6 F 1.97-2.00
7 V 0.4955 0.6763 0.2934  1 O 1.92, 5 F 1.99-2.06
8 V 0.6403 0.8015 0.9176  6 F 1.93-2.06
9 V 0.7575 0.9420 0.5429  6 F 1.93-2.06
10 V 0.8630 0.0667 0.1669  1 O 1.92, 5 F 1.98-2.05
11 O 0.3483 0.5362 0.3872  2 V 1.83-1.92, 1 Li 1.92
12 O 0.6687 0.2075 0.0733  2 V 1.83-1.92, 1 Li 1.92
13 F 0.0879 0.2862 0.1344  2 V 1.92-2.03
14 F 0.0916 0.8718 0.7302  2 V 1.99
15 F 0.1010 0.9043 0.2572  2 V 1.99
16 F 0.1679 0.3498 0.6998  2 V 1.97-1.99
17 F 0.1806 0.7141 0.5716  2 V 2.00-2.06, 1 Li 2.10
18 F 0.1810 0.7679 0.0969  2 V 2.02-2.05, 1 Li 2.04
19 F 0.3276 0.1042 0.9778  2 V 1.97-2.13, 1 Li 2.01
20 F 0.3558 0.1425 0.5104  2 V 1.98-2.07
21 F 0.4071 0.6010 0.9499  2 V 1.98-2.07
22 F 0.4119 0.9730 0.8253  2 V 1.97-2.00
23 F 0.4452 0.9759 0.3634  2 V 2.02-2.06, 1 Li 2.04
24 F 0.5594 0.3706 0.2302  2 V 1.98-1.99
25 F 0.6081 0.7708 0.6352  2 V 1.97-2.00
26 F 0.6152 0.3943 0.7607  2 V 1.97-1.99
27 F 0.6616 0.8367 0.2028  2 V 1.99
28 F 0.6895 0.2439 0.6077  2 V 1.98
29 F 0.8076 0.6391 0.4828  2 V 1.97-2.13, 1 Li 2.01
30 F 0.8640 0.0290 0.8888  2 V 2.01-2.06, 1 Li 2.10
31 F 0.8784 0.6543 0.0038  2 V 1.93-2.14
32 F 0.9078 0.4572 0.3257  2 V 1.92-2.03
33 F 0.9342 0.0895 0.4567  2 V 1.93-2.15
34 F 0.9392 0.4982 0.8531  2 V 1.98

***

No. 2
The following is a DFT calculation (PBE with a Hubbard U) of a relaxed structure of Li6V2O5F2.

## Properties
The energy relative to the elements is -2.484 eV/atom.

a = 5.8783 Å, b = 5.8794 Å, c = 9.8712 Å
α = 90.33°, β = 99.13°, γ = 119.34°
Last column: nearest neighbours and their distance in Å.
Fractional coordinates of all 30 atoms:
1 Li 0.0000 0.0000 0.0000  3 O 1.98-2.10, 2 F 2.14-2.17
2 Li 0.0010 0.7345 0.4890  5 O 2.02-2.15
3 Li 0.2535 0.8474 0.2688  4 O 1.97-2.16, 1 F 2.11
4 Li 0.2830 0.5980 0.7824  3 O 1.98-2.12, 2 F 2.12-2.17
5 Li 0.4411 0.1740 0.4967  3 O 1.96-2.14, 2 F 1.98-2.08
6 Li 0.4463 0.4390 0.0007  5 O 1.99-2.17
7 Li 0.7182 0.5918 0.7995  2 O 1.92-2.08, 1 F 2.01
8 Li 0.7228 0.0424 0.7801  5 O 1.99-2.17
9 Li 0.7289 0.8300 0.2794  3 O 1.96-2.10, 1 F 2.05
10 Li 0.7447 0.3355 0.2927  2 F 1.98-2.16, 2 O 1.99-2.06
11 Li 0.9833 0.4205 0.9822  2 O 1.93-2.10, 2 F 2.02-2.06
12 Li 0.9995 0.1834 0.4932  2 O 1.92-2.06, 2 F 1.97-2.15
13 V 0.2244 0.0690 0.7582  4 O 1.94-2.09, 2 F 2.09-2.16
14 V 0.2567 0.3425 0.2642  5 O 1.98-2.07, 1 F 2.15
15 V 0.4878 0.9552 0.0241  4 O 1.96-2.06, 2 F 2.08-2.16
16 V 0.4941 0.7085 0.5209  4 O 2.00-2.04, 2 F 2.10
17 O 0.1058 0.0259 0.3642  5 Li 1.92-2.02, 1 V 1.98
18 O 0.1063 0.2599 0.8625  5 Li 1.93-2.01, 1 V 1.94
19 O 0.1349 0.5215 0.3942  2 V 2.03-2.07, 4 Li 2.06-2.16
20 O 0.3605 0.6552 0.1448  3 Li 2.02-2.17, 2 V 2.03-2.07
21 O 0.3611 0.8829 0.6391  2 V 2.02-2.09, 4 Li 2.10-2.15
22 O 0.3661 0.1518 0.1364  2 V 2.03-2.05, 4 Li 2.08-2.24
23 O 0.5816 0.2380 0.8873  2 V 2.03-2.06, 4 Li 2.08-2.11
24 O 0.6099 0.5219 0.3961  4 Li 1.99-2.12, 2 V 2.02-2.04
25 O 0.6204 0.7778 0.9176  5 Li 1.92-2.00, 1 V 1.96
26 O 0.8575 0.8715 0.6383  2 V 2.00-2.03, 4 Li 2.14-2.24
27 F 0.1014 0.7562 0.8910  4 Li 2.01-2.14, 2 V 2.16
28 F 0.3682 0.3835 0.6372  4 Li 2.08-2.18, 2 V 2.09-2.10
29 F 0.6247 0.0307 0.4031  5 Li 1.97-2.11, 1 V 2.10
30 F 0.8682 0.1808 0.1385  3 Li 2.06-2.17, 2 V 2.08-2.15

***

No. 3
The following is a DFT calculation (PBE with a Hubbard U) of a relaxed structure of Li2VO2F.

## Properties
The energy relative to the elements is -2.660 eV/atom.

a = 5.9078 Å, b = 6.6694 Å, c = 6.6507 Å
α = 72.66°, β = 63.74°, γ = 77.55°
Last column: nearest neighbours and their distance in Å.
Fractional coordinates of all 24 atoms:
1 Li 0.7446 0.0010 0.5103  1 F 2.12, 5 O 2.13-2.24
2 Li 0.2439 0.0008 0.5105  1 F 2.12, 5 O 2.12-2.24
3 Li 0.8387 0.3323 0.6563  1 F 2.12, 5 O 2.13-2.24
4 Li 0.3395 0.3326 0.6561  1 F 2.12, 5 O 2.12-2.24
5 Li 0.6543 0.6673 0.3578  4 F 2.00-2.21, 2 O 2.09-2.13
6 Li 0.1543 0.6677 0.3579  4 F 1.99-2.21, 2 O 2.08-2.13
7 Li 0.4291 0.6656 0.8088  4 F 1.99-2.21, 2 O 2.08-2.13
8 Li 0.9290 0.6661 0.8089  4 F 2.00-2.21, 2 O 2.09-2.13
9 V 0.5062 0.0046 0.9906  5 O 1.99-2.08, 1 F 2.14
10 V 0.0771 0.3287 0.1761  5 O 1.99-2.08, 1 F 2.14
11 V 0.0060 0.0050 0.9907  5 O 1.99-2.08, 1 F 2.14
12 V 0.5773 0.3285 0.1759  5 O 1.99-2.08, 1 F 2.14
13 O 0.1379 0.0009 0.2316  3 V 2.05-2.08, 3 Li 2.13-2.24
14 O 0.6376 0.0010 0.2312  3 V 2.05-2.08, 3 Li 2.13-2.24
15 O 0.4455 0.3325 0.9351  3 V 2.05-2.08, 3 Li 2.13-2.24
16 O 0.9458 0.3322 0.9354  3 V 2.05-2.08, 3 Li 2.13-2.24
17 O 0.3683 0.9919 0.7697  2 V 1.99-2.00, 4 Li 2.08-2.16
18 O 0.8683 0.9929 0.7690  2 V 1.99-2.00, 4 Li 2.09-2.16
19 O 0.7150 0.3406 0.3975  2 V 1.99-2.00, 4 Li 2.09-2.16
20 O 0.2151 0.3413 0.3971  2 V 1.99-2.00, 4 Li 2.08-2.16
21 F 0.0412 0.6671 0.0833  2 V 2.14, 4 Li 2.20-2.21
22 F 0.5421 0.6664 0.0832  2 V 2.14, 4 Li 2.20-2.21
23 F 0.7917 0.6666 0.5833  6 Li 2.00-2.12
24 F 0.2917 0.6666 0.5834  6 Li 1.99-2.12

***

No. 4
The following is a DFT calculation (PBE with a Hubbard U) of a relaxed structure of Li2VO2F.

## Properties
The energy relative to the elements is -2.658 eV/atom.

a = 5.1530 Å, b = 6.5171 Å, c = 7.2108 Å
α = 110.82°, β = 90.91°, γ = 104.84°
Last column: nearest neighbours and their distance in Å.
Fractional coordinates of all 24 atoms:
1 Li 0.0000 0.0000 0.0000  3 F 2.01-2.08, 3 O 2.07-2.14
2 Li 0.0821 0.7504 0.5833  4 O 2.07-2.14, 2 F 2.22-2.25
3 Li 0.1679 0.5007 0.1669  3 F 2.01-2.09, 3 O 2.05-2.13
4 Li 0.3342 0.0024 0.3363  4 O 2.07-2.10, 2 F 2.12-2.13
5 Li 0.5010 0.4989 0.5011  3 F 2.02-2.09, 3 O 2.05-2.12
6 Li 0.5852 0.2507 0.0841  4 O 2.08-2.13, 2 F 2.20-2.23
7 Li 0.6667 0.0024 0.6670  3 F 2.02-2.09, 3 O 2.04-2.14
8 Li 0.8339 0.5003 0.8320  4 O 2.07-2.10, 2 F 2.12-2.13
9 V 0.2720 0.2450 0.7454  5 O 1.99-2.08, 1 F 2.13
10 V 0.3929 0.7584 0.9252  5 O 1.98-2.08, 1 F 2.13
11 V 0.7760 0.7438 0.2415  5 O 1.96-2.11, 1 F 2.13
12 V 0.8930 0.2574 0.4245  5 O 1.96-2.10, 1 F 2.13
13 O 0.0031 0.0127 0.4977  3 V 2.05-2.11, 3 Li 2.08-2.14
14 O 0.0837 0.7505 0.0854  2 V 1.96-1.98, 4 Li 2.05-2.09
15 O 0.1688 0.4937 0.6718  3 V 2.06-2.10, 3 Li 2.09-2.13
16 O 0.3324 0.0000 0.8312  2 V 1.99-2.01, 4 Li 2.07-2.12
17 O 0.5004 0.5082 0.9952  3 V 2.06-2.10, 3 Li 2.10-2.13
18 O 0.5870 0.2503 0.5831  2 V 1.96-2.02, 4 Li 2.04-2.07
19 O 0.6637 0.9893 0.1695  3 V 2.05-2.10, 3 Li 2.10-2.14
20 O 0.8358 0.5011 0.3344  2 V 2.00-2.01, 4 Li 2.07-2.12
21 F 0.2295 0.2561 0.2558  5 Li 2.01-2.23, 1 V 2.13
22 F 0.4400 0.7432 0.4097  5 Li 2.02-2.25, 1 V 2.13
23 F 0.7313 0.7590 0.7583  5 Li 2.02-2.22, 1 V 2.13
24 F 0.9357 0.2449 0.9131  5 Li 2.01-2.20, 1 V 2.13